Entry 1:
The following is a PBE calculation of a relaxed UP2O7 crystal, from the Materials Project.

a = 11.6973 Å, b = 12.9703 Å, c = 7.1178 Å
α = 90.00°, β = 90.00°, γ = 90.00°
Last column: nearest neighbours and their distance in Å.
Space group Pna2_1 (No. 33)
Asymmetric unit:
U  0.0253  0.1726  0.0000 [4 per cell]  6 O 2.25-2.33
U  0.1407  0.3128  0.5019 [4 per cell]  6 O 2.24-2.37
P  0.0462  0.8832  0.0009 [4 per cell]  4 O 1.53-1.57
P  0.1647  0.5955  0.9583 [4 per cell]  4 O 1.50-1.59
P  0.1687  0.5922  0.5283 [4 per cell]  4 O 1.52-1.63
P  0.2071  0.3715  0.0068 [4 per cell]  4 O 1.51-1.61
O  0.0114  0.1728  0.6728 [4 per cell]  1 P 1.57
O  0.0156  0.1642  0.3247 [4 per cell]  1 P 1.57
O  0.0263  0.9995  0.0108 [4 per cell]  1 P 1.53
O  0.0488  0.6430  0.9845 [4 per cell]  1 P 1.50
O  0.0753  0.6742  0.5172 [4 per cell]  1 P 1.53
O  0.1321  0.4877  0.4514 [4 per cell]  1 P 1.52
O  0.1484  0.3346  0.8245 [4 per cell]  1 P 1.54
O  0.1588  0.3058  0.1701 [4 per cell]  1 P 1.55
O  0.1609  0.4850  0.0555 [4 per cell]  2 P 1.59-1.61
O  0.1644  0.8754  0.4955 [4 per cell]  1 P 1.51
O  0.1747  0.8582  0.9947 [4 per cell]  1 P 1.54
O  0.1906  0.5656  0.7490 [4 per cell]  2 P 1.57-1.63
O  0.2156  0.1293  0.9575 [4 per cell]  1 P 1.52
O  0.2364  0.1574  0.5336 [4 per cell]  1 P 1.51

Energy relative to the lowest polymorph listed for this composition ... 0.104 eV/atom
Energy ... -81.673 eV per formula unit
Corrected total energy (MP2020 scheme) ... -691.86 eV for the cell shown

Entry 2:
The following is a PBE calculation of a relaxed Li2ErPCO7 crystal, from the Materials Project.

a = 4.9076 Å, b = 6.7395 Å, c = 9.0885 Å
α = 90.00°, β = 93.35°, γ = 90.00°
Last column: nearest neighbours and their distance in Å.
Space group P2_1/m (No. 11)
Asymmetric unit:
Li  0.2030  0.0136  0.2993 [4 per cell]  2 O 1.98-2.07
Er  0.2571  0.2500  0.8635 [2 per cell]  5 O 2.20-2.36
P  0.2753  0.7500  0.9072 [2 per cell]  4 O 1.54-1.57
C  0.2579  0.2500  0.5635 [2 per cell]  3 O 1.27-1.33
O  0.0249  0.2500  0.6282 [2 per cell]  1 C 1.32
O  0.1460  0.5642  0.8335 [4 per cell]  1 P 1.54
O  0.2324  0.7500  0.0774 [2 per cell]  1 P 1.57
O  0.2723  0.2500  0.4244 [2 per cell]  1 C 1.27
O  0.4095  0.2500  0.1031 [2 per cell]  1 P 1.56
O  0.4791  0.2500  0.6547 [2 per cell]  1 C 1.33

Energy ... -86.334 eV per formula unit
Corrected total energy (MP2020 scheme) ... -182.29 eV for the cell shown

Entry 3:
The following is a PBE calculation of a relaxed Lu4Al24Pt9 crystal, from the Materials Project.

a = 7.4704 Å, b = 7.4955 Å, c = 13.1740 Å
α = 84.73°, β = 79.24°, γ = 60.40°
Last column: nearest neighbours and their distance in Å.
Space group P-1 (No. 2)
Asymmetric unit:
Lu  0.0626  0.3309  0.3072 [2 per cell]  11 Al 3.05-3.22, 3 Pt 3.27-3.31
Lu  0.2667  0.9987  0.6931 [2 per cell]  11 Al 3.06-3.22, 3 Pt 3.26-3.31
Al  0.0185  0.6660  0.4439 [2 per cell]  3 Pt 2.54-2.61, 3 Al 2.74-2.83
Al  0.1171  0.6653  0.1719 [2 per cell]  3 Pt 2.52-2.55
Al  0.1455  0.3335  0.0583 [2 per cell]  4 Pt 2.56-2.69
Al  0.1865  0.0003  0.9414 [2 per cell]  4 Pt 2.56-2.68
Al  0.1925  0.8692  0.3157 [2 per cell]  2 Pt 2.51-2.58, 4 Al 2.67-2.74
Al  0.2303  0.6606  0.8292 [2 per cell]  3 Pt 2.53-2.54
Al  0.3154  0.6681  0.5485 [2 per cell]  3 Pt 2.57-2.63, 5 Al 2.79-2.85
Al  0.3533  0.0009  0.4441 [2 per cell]  3 Pt 2.54-2.61, 2 Al 2.74-2.76
Al  0.3969  0.3363  0.6831 [2 per cell]  2 Pt 2.51-2.57, 4 Al 2.67-2.79
Al  0.3968  0.4580  0.3162 [2 per cell]  2 Pt 2.52-2.58, 4 Al 2.67-2.79
Al  0.4434  0.9943  0.1720 [2 per cell]  3 Pt 2.51-2.55
Al  0.4788  0.6674  0.0608 [2 per cell]  4 Pt 2.57-2.76, 3 Al 2.83-2.85
Pt  0.0000  0.0000  0.5000 [1 per cell]  8 Al 2.57-2.61
Pt  0.1115  0.0085  0.1394 [2 per cell]  8 Al 2.51-2.76
Pt  0.2049  0.3332  0.8606 [2 per cell]  8 Al 2.51-2.75
Pt  0.3284  0.3287  0.4997 [2 per cell]  8 Al 2.54-2.63
Pt  0.4534  0.3250  0.1375 [2 per cell]  8 Al 2.51-2.75

Energy ... -195.374 eV per formula unit

Entry 4:
The following is a PBE calculation of a relaxed Pu2Pt crystal, from the Materials Project.

a = 7.0024 Å, b = 4.6389 Å, c = 8.9740 Å
α = 90.00°, β = 91.05°, γ = 90.00°
Last column: nearest neighbours and their distance in Å.
Space group Pm (No. 6)
Asymmetric unit:
Pu  0.0000  0.0000  0.0000 [1 per cell]  3 Pt 2.96-3.04
Pu  0.0341  0.5000  0.6385 [1 per cell]  3 Pt 2.93-3.01
Pu  0.1670  0.5000  0.2356 [1 per cell]  4 Pt 2.92-2.93
Pu  0.3593  0.0000  0.7360 [1 per cell]  4 Pt 2.93-2.95
Pu  0.4976  0.0000  0.1350 [1 per cell]  3 Pt 2.96-3.00
Pu  0.5332  0.5000  0.4947 [1 per cell]  3 Pt 2.94-3.00
Pu  0.6747  0.5000  0.8975 [1 per cell]  4 Pt 2.91-2.94
Pu  0.8617  0.0000  0.3986 [1 per cell]  4 Pt 2.91-2.93
Pt  0.2569  0.5000  0.9175 [1 per cell]  7 Pu 2.93-3.04
Pt  0.2793  0.0000  0.4146 [1 per cell]  7 Pu 2.92-3.00
Pt  0.7500  0.5000  0.2175 [1 per cell]  7 Pu 2.91-3.00
Pt  0.7793  0.0000  0.7153 [1 per cell]  7 Pu 2.91-3.01

Energy ... -35.726 eV per formula unit

Entry 5:
The following is a PBE calculation of a relaxed CsSnCl3 crystal, from the Materials Project.

a = 5.8480 Å, b = 7.9125 Å, c = 17.1039 Å
α = 90.00°, β = 107.20°, γ = 90.00°
Last column: nearest neighbours and their distance in Å.
Space group P2_1/c (No. 14)
Asymmetric unit:
Cs  0.0994  0.0072  0.3480 [4 per cell]  7 Cl 3.52-3.68
Sn  0.3688  0.5426  0.6131 [4 per cell]  3 Cl 2.55-2.61
Cl  0.0664  0.0327  0.8753 [4 per cell]  1 Sn 2.61
Cl  0.3105  0.6670  0.0454 [4 per cell]  1 Sn 2.55
Cl  0.4792  0.1889  0.7469 [4 per cell]  1 Sn 2.57

Energy ... -17.666 eV per formula unit
Corrected total energy (MP2020 scheme) ... -78.03 eV for the cell shown

Entry 6:
The following is a PBE calculation of a relaxed La4ZnCuRh2O12 crystal, from the Materials Project.

a = 5.5963 Å, b = 5.6851 Å, c = 7.9437 Å
α = 90.25°, β = 90.04°, γ = 90.05°
Last column: nearest neighbours and their distance in Å.
Space group P-1 (No. 2)
Asymmetric unit:
La  0.0090  0.0499  0.2517 [2 per cell]  5 O 2.39-2.67
La  0.4903  0.5507  0.2508 [2 per cell]  5 O 2.39-2.67
Zn  0.5000  0.0000  0.0000 [1 per cell]  6 O 2.07-2.11
Cu  0.0000  0.5000  0.5000 [1 per cell]  6 O 2.06-2.09
Rh  0.0000  0.5000  0.0000 [1 per cell]  6 O 2.02-2.04
Rh  0.5000  0.0000  0.5000 [1 per cell]  6 O 2.03-2.05
O  0.0889  0.5233  0.7511 [2 per cell]  1 Rh 2.04, 1 Cu 2.06
O  0.1960  0.7917  0.0464 [2 per cell]  1 Rh 2.02, 1 Zn 2.11
O  0.2040  0.7987  0.4533 [2 per cell]  1 Rh 2.05, 1 Cu 2.08
O  0.2932  0.3011  0.0464 [2 per cell]  1 Rh 2.03, 1 Zn 2.10
O  0.3009  0.2932  0.4533 [2 per cell]  1 Rh 2.04, 1 Cu 2.09
O  0.4113  0.0232  0.7477 [2 per cell]  1 Rh 2.03, 1 Zn 2.07

Energy ... -142.475 eV per formula unit
Corrected total energy (MP2020 scheme) ... -150.72 eV for the cell shown

Entry 7:
The following is a PBE calculation of a relaxed Li8Nb2O9 crystal, from the Materials Project.

a = 5.9367 Å, b = 8.9078 Å, c = 15.3780 Å
α = 87.17°, β = 79.15°, γ = 70.67°
Last column: nearest neighbours and their distance in Å.
Space group P-1 (No. 2)
Asymmetric unit:
Li  0.0194  0.1257  0.0429 [2 per cell]  5 O 2.03-2.19
Li  0.0659  0.6220  0.4617 [2 per cell]  5 O 2.03-2.25
Li  0.0934  0.8771  0.7373 [2 per cell]  5 O 1.98-2.14
Li  0.0954  0.4080  0.1440 [2 per cell]  5 O 1.99-2.22
Li  0.1693  0.6235  0.2385 [2 per cell]  5 O 1.99-2.12
Li  0.1759  0.8698  0.5379 [2 per cell]  5 O 2.07-2.26
Li  0.2065  0.3729  0.9604 [2 per cell]  6 O 2.10-2.35
Li  0.2431  0.9090  0.3458 [2 per cell]  5 O 1.97-2.17
Li  0.2863  0.6267  0.0498 [2 per cell]  6 O 2.07-2.21
Li  0.2903  0.3758  0.7622 [2 per cell]  5 O 1.99-2.11
Li  0.3285  0.1280  0.4460 [2 per cell]  5 O 2.04-2.27
Li  0.3671  0.8396  0.1600 [2 per cell]  4 O 1.97-2.11
Li  0.4136  0.3787  0.5243 [2 per cell]  4 O 1.99-2.06
Li  0.4384  0.8771  0.9770 [2 per cell]  4 O 1.95-2.08
Li  0.4488  0.1246  0.2605 [2 per cell]  5 O 2.00-2.10
Li  0.4754  0.6586  0.6491 [2 per cell]  5 O 2.00-2.18
Nb  0.0050  0.3734  0.3500 [2 per cell]  6 O 1.94-2.16
Nb  0.1424  0.1248  0.8565 [2 per cell]  5 O 1.92-2.12
Nb  0.2431  0.1273  0.6388 [2 per cell]  5 O 1.92-2.15
Nb  0.3930  0.6238  0.8554 [2 per cell]  5 O 1.93-2.15
O  0.0236  0.3556  0.8571 [2 per cell]  1 Nb 1.94, 5 Li 1.99-2.12
O  0.0370  0.1368  0.5547 [2 per cell]  1 Nb 1.92, 2 Li 2.05-2.09
O  0.0420  0.8736  0.2523 [2 per cell]  4 Li 2.10-2.13, 2 Nb 2.15-2.16
O  0.1006  0.6344  0.9403 [2 per cell]  1 Nb 1.94, 4 Li 2.02-2.17
O  0.1057  0.3764  0.6571 [2 per cell]  3 Li 2.06-2.25, 2 Nb 2.11
O  0.1284  0.1432  0.3437 [2 per cell]  1 Nb 1.94, 4 Li 1.97-2.12
O  0.1460  0.8881  0.0634 [2 per cell]  1 Nb 1.95, 4 Li 1.95-2.10
O  0.1940  0.6237  0.7493 [2 per cell]  2 Nb 2.09-2.19, 4 Li 2.10-2.22
O  0.2048  0.3846  0.4362 [2 per cell]  1 Nb 1.96, 5 Li 1.99-2.16
O  0.2657  0.8731  0.8434 [2 per cell]  3 Li 2.08-2.19, 2 Nb 2.11-2.12
O  0.2785  0.6145  0.5590 [2 per cell]  1 Nb 1.95, 5 Li 2.04-2.18
O  0.3082  0.3725  0.2470 [2 per cell]  4 Li 2.10-2.18, 2 Nb 2.15-2.16
O  0.3402  0.1133  0.9441 [2 per cell]  1 Nb 1.92, 2 Li 1.97-2.05
O  0.3601  0.8963  0.6428 [2 per cell]  1 Nb 1.94, 5 Li 1.98-2.17
O  0.4212  0.3641  0.0562 [2 per cell]  1 Nb 1.93, 3 Li 2.07-2.10
O  0.4253  0.1251  0.7509 [2 per cell]  4 Li 2.10-2.17, 2 Nb 2.11-2.20
O  0.4739  0.8575  0.4407 [2 per cell]  1 Nb 1.92, 3 Li 2.06-2.12
O  0.4876  0.6056  0.1558 [2 per cell]  1 Nb 1.93, 4 Li 1.97-2.16

Energy ... -123.751 eV per formula unit
Corrected total energy (MP2020 scheme) ... -519.74 eV for the cell shown

Entry 8:
The following is a PBE calculation of a relaxed GdSiPd crystal, from the Materials Project.

a = 10.2452 Å, b = 4.3486 Å, c = 7.1371 Å
α = 90.00°, β = 132.45°, γ = 90.00°
Last column: nearest neighbours and their distance in Å.
Space group C2/m (No. 12)
Asymmetric unit:
Gd  0.0444  0.0000  0.3044 [4 per cell]  6 Pd 3.00-3.24, 6 Si 3.06-3.20
Si  0.1552  0.5000  0.1048 [4 per cell]  1 Si 2.43, 2 Pd 2.49
Pd  0.1850  0.5000  0.7417 [4 per cell]  2 Si 2.49

Energy ... -27.400 eV per formula unit

Entry 9:
The following is a PBE calculation of a relaxed LiCu4P3O12 crystal, from the Materials Project.

a = 6.2221 Å, b = 15.4138 Å, c = 9.9463 Å
α = 90.00°, β = 90.00°, γ = 90.00°
Last column: nearest neighbours and their distance in Å.
Space group Cmc2_1 (No. 36)
Asymmetric unit:
Li  0.0000  0.0133  0.0000 [4 per cell]  2 O 2.15
Cu  0.0000  0.3694  0.7029 [4 per cell]  3 O 1.90-2.06
Cu  0.0000  0.3807  0.3195 [4 per cell]  4 O 1.91-2.01
Cu  0.2467  0.3022  0.0042 [8 per cell]  5 O 2.05-2.11
P  0.0000  0.1832  0.7891 [4 per cell]  4 O 1.51-1.62
P  0.0000  0.1848  0.2219 [4 per cell]  4 O 1.52-1.60
P  0.0000  0.4798  0.0498 [4 per cell]  4 O 1.55-1.57
O  0.0000  0.2084  0.6353 [4 per cell]  1 P 1.58
O  0.0000  0.2133  0.3748 [4 per cell]  1 P 1.58
O  0.0000  0.2738  0.1385 [4 per cell]  1 P 1.60
O  0.0000  0.2767  0.8636 [4 per cell]  1 P 1.62
O  0.0000  0.4215  0.5119 [4 per cell]  1 P 1.57
O  0.0000  0.4860  0.2069 [4 per cell]  1 P 1.56
O  0.1954  0.1316  0.8316 [8 per cell]  1 P 1.51
O  0.1957  0.1309  0.1864 [8 per cell]  1 P 1.52
O  0.2096  0.4376  0.9974 [8 per cell]  1 P 1.55

Energy relative to the lowest polymorph listed for this composition ... 0.031 eV/atom
Energy ... -124.214 eV per formula unit
Corrected total energy (MP2020 scheme) ... -529.83 eV for the cell shown